{"formula": "ZnNi3B2", "functional": "GGA-PBE", "state": "relaxed", "formation_energy_ev_per_fu": -1.7, "spacegroup": "C2/m, No. 12", "cell": [[-2.6326, 1.1304, -0.3720], [1.3339, 0.9526, 4.6738], [3.4016, 6.6078, -3.9945]], "species": ["Zn", "Zn", "Ni", "Ni", "Ni", "Ni", "Ni", "Ni", "B", "B", "B", "B"], "frac_coords": [[0.1384, 0.2768, 0.5253], [0.8616, 0.7232, 0.4747], [0.2190, 0.4379, 0.2506], [0.7810, 0.5621, 0.7494], [0.4956, 0.9912, 0.2877], [0.5044, 0.0088, 0.7123], [0.6387, 0.2774, 0.0027], [0.3613, 0.7226, 0.9973], [0.1553, 0.3106, 0.8159], [0.8447, 0.6894, 0.1841], [0.0149, 0.0297, 0.1113], [0.9851, 0.9703, 0.8887]]}